# 1
{"formula": "UCuO4", "functional": "GGA-PBE", "state": "optimized geometry", "lattice_angstrom": [[5.518, 0.000, 0.000], [0.000, 5.025, 0.000], [-2.321, 0.000, 5.825]], "species": ["U", "U", "Cu", "Cu", "O", "O", "O", "O", "O", "O", "O", "O"], "frac_coords": [[0.000, 0.000, 0.000], [0.000, 0.500, 0.500], [0.500, 0.000, 0.500], [0.500, 0.500, 0.000], [0.169, 0.183, 0.336], [0.169, 0.317, 0.836], [0.311, 0.710, 0.573], [0.311, 0.790, 0.073], [0.689, 0.210, 0.927], [0.689, 0.290, 0.427], [0.831, 0.683, 0.164], [0.831, 0.817, 0.664]], "sg": "P2_1/c"}

# 2
{"formula": "Y4Cu6O15", "functional": "GGA-PBE", "state": "optimized geometry", "lattice_angstrom": [[10.549, 0.000, 0.000], [0.000, 12.704, 0.000], [-0.025, 0.000, 10.744]], "species": ["Y", "Y", "Y", "Y", "Y", "Y", "Y", "Y", "Y", "Y", "Y", "Y", "Y", "Y", "Y", "Y", "Cu", "Cu", "Cu", "Cu", "Cu", "Cu", "Cu", "Cu", "Cu", "Cu", "Cu", "Cu", "Cu", "Cu", "Cu", "Cu", "Cu", "Cu", "Cu", "Cu", "Cu", "Cu", "Cu", "Cu", "O", "O", "O", "O", "O", "O", "O", "O", "O", "O", "O", "O", "O", "O", "O", "O", "O", "O", "O", "O", "O", "O", "O", "O", "O", "O", "O", "O", "O", "O", "O", "O", "O", "O", "O", "O", "O", "O", "O", "O", "O", "O", "O", "O", "O", "O", "O", "O", "O", "O", "O", "O", "O", "O", "O", "O", "O", "O", "O", "O"], "frac_coords": [[0.045, 0.000, 0.068], [0.046, 0.995, 0.730], [0.198, 0.340, 0.731], [0.209, 0.327, 0.394], [0.291, 0.833, 0.228], [0.301, 0.833, 0.566], [0.453, 0.492, 0.232], [0.455, 0.501, 0.896], [0.545, 0.001, 0.104], [0.547, 0.992, 0.768], [0.699, 0.333, 0.434], [0.709, 0.333, 0.772], [0.791, 0.827, 0.606], [0.802, 0.840, 0.269], [0.954, 0.495, 0.270], [0.955, 0.500, 0.932], [0.006, 0.710, 0.450], [0.014, 0.715, 0.776], [0.017, 0.716, 0.123], [0.233, 0.616, 0.375], [0.238, 0.619, 0.722], [0.244, 0.620, 0.050], [0.259, 0.119, 0.878], [0.263, 0.121, 0.207], [0.264, 0.116, 0.562], [0.485, 0.216, 0.936], [0.487, 0.212, 0.288], [0.490, 0.214, 0.623], [0.510, 0.714, 0.377], [0.513, 0.712, 0.712], [0.515, 0.716, 0.064], [0.736, 0.616, 0.438], [0.737, 0.621, 0.793], [0.741, 0.619, 0.122], [0.756, 0.120, 0.950], [0.762, 0.119, 0.278], [0.767, 0.116, 0.625], [0.983, 0.216, 0.877], [0.986, 0.215, 0.224], [0.994, 0.210, 0.550], [0.038, 0.352, 0.864], [0.051, 0.345, 0.262], [0.076, 0.577, 0.426], [0.077, 0.338, 0.561], [0.079, 0.578, 0.105], [0.092, 0.588, 0.807], [0.118, 0.167, 0.129], [0.123, 0.169, 0.787], [0.130, 0.158, 0.466], [0.159, 0.746, 0.690], [0.170, 0.753, 0.394], [0.171, 0.995, 0.900], [0.173, 0.754, 0.069], [0.202, 0.984, 0.594], [0.210, 0.985, 0.195], [0.290, 0.481, 0.363], [0.301, 0.487, 0.760], [0.327, 0.493, 0.064], [0.328, 0.253, 0.238], [0.329, 0.255, 0.562], [0.337, 0.248, 0.857], [0.371, 0.665, 0.629], [0.375, 0.662, 0.287], [0.382, 0.672, 0.967], [0.412, 0.085, 0.641], [0.420, 0.078, 0.938], [0.421, 0.838, 0.397], [0.424, 0.079, 0.256], [0.451, 0.848, 0.096], [0.461, 0.849, 0.698], [0.539, 0.349, 0.302], [0.549, 0.348, 0.904], [0.576, 0.579, 0.744], [0.579, 0.338, 0.603], [0.580, 0.578, 0.062], [0.588, 0.585, 0.359], [0.618, 0.172, 0.033], [0.625, 0.162, 0.713], [0.629, 0.165, 0.371], [0.663, 0.748, 0.143], [0.671, 0.755, 0.438], [0.672, 0.753, 0.762], [0.673, 0.993, 0.936], [0.699, 0.987, 0.240], [0.710, 0.981, 0.637], [0.790, 0.485, 0.805], [0.798, 0.484, 0.406], [0.827, 0.254, 0.931], [0.829, 0.495, 0.100], [0.830, 0.253, 0.606], [0.841, 0.246, 0.310], [0.870, 0.658, 0.534], [0.877, 0.669, 0.213], [0.882, 0.667, 0.871], [0.908, 0.088, 0.193], [0.921, 0.078, 0.895], [0.923, 0.838, 0.439], [0.924, 0.077, 0.574], [0.949, 0.845, 0.738], [0.962, 0.852, 0.136]], "relative_energy_kcal_per_mol_atoms": 0.00, "sg": "P2_1"}

# 3
{"formula": "YCuO3", "functional": "GGA-PBE", "state": "optimized geometry", "lattice_angstrom": [[5.666, 0.000, 0.000], [0.000, 7.494, 0.000], [0.000, 0.000, 5.262]], "species": ["Y", "Y", "Y", "Y", "Cu", "Cu", "Cu", "Cu", "O", "O", "O", "O", "O", "O", "O", "O", "O", "O", "O", "O"], "frac_coords": [[0.076, 0.250, 0.020], [0.424, 0.750, 0.520], [0.576, 0.250, 0.480], [0.924, 0.750, 0.980], [0.000, 0.000, 0.500], [0.000, 0.500, 0.500], [0.500, 0.000, 0.000], [0.500, 0.500, 0.000], [0.031, 0.750, 0.397], [0.195, 0.551, 0.801], [0.195, 0.949, 0.801], [0.305, 0.051, 0.301], [0.305, 0.449, 0.301], [0.469, 0.250, 0.897], [0.531, 0.750, 0.103], [0.695, 0.551, 0.699], [0.695, 0.949, 0.699], [0.805, 0.051, 0.199], [0.805, 0.449, 0.199], [0.969, 0.250, 0.603]], "sg": "Pnma"}

# 4
{"formula": "YCuO3", "functional": "GGA-PBE", "state": "optimized geometry", "lattice_angstrom": [[3.782, 0.000, 0.000], [0.000, 3.782, 0.000], [0.000, 0.000, 3.782]], "species": ["Y", "Cu", "O", "O", "O"], "frac_coords": [[0.000, 0.000, 0.000], [0.500, 0.500, 0.500], [0.000, 0.500, 0.500], [0.500, 0.000, 0.500], [0.500, 0.500, 0.000]], "sg": "Pm-3m"}

# 5
{"formula": "Y4Cu2O7", "functional": "GGA-PBE", "state": "optimized geometry", "lattice_angstrom": [[6.115, -1.840, 0.000], [6.115, 1.840, 0.000], [-2.781, 0.000, 7.863]], "species": ["Y", "Y", "Y", "Y", "Cu", "Cu", "O", "O", "O", "O", "O", "O", "O"], "frac_coords": [[0.144, 0.144, 0.337], [0.163, 0.163, 0.821], [0.837, 0.837, 0.179], [0.856, 0.856, 0.663], [0.500, 0.500, 0.000], [0.500, 0.500, 0.500], [0.000, 0.000, 0.500], [0.223, 0.223, 0.114], [0.248, 0.248, 0.620], [0.489, 0.489, 0.212], [0.511, 0.511, 0.788], [0.752, 0.752, 0.380], [0.777, 0.777, 0.886]], "sg": "C2/m"}

# 6
{"formula": "Y2Cu3O6", "functional": "GGA-PBE", "state": "optimized geometry", "lattice_angstrom": [[6.045, -1.776, 0.000], [6.045, 1.776, 0.000], [-4.292, 0.000, 8.654]], "species": ["Y", "Y", "Cu", "Cu", "Cu", "O", "O", "O", "O", "O", "O"], "frac_coords": [[0.161, 0.161, 0.321], [0.839, 0.839, 0.679], [0.167, 0.167, 0.833], [0.500, 0.500, 0.500], [0.833, 0.833, 0.167], [0.033, 0.033, 0.852], [0.287, 0.287, 0.779], [0.362, 0.362, 0.533], [0.638, 0.638, 0.467], [0.713, 0.713, 0.221], [0.967, 0.967, 0.148]], "relative_energy_kcal_per_mol_atoms": 0.38, "sg": "C2/m"}

# 7
{"formula": "YCu2O4", "functional": "GGA-PBE", "state": "optimized geometry", "lattice_angstrom": [[0.000, 4.401, 4.401], [4.401, 0.000, 4.401], [4.401, 4.401, 0.000]], "species": ["Y", "Y", "Cu", "Cu", "Cu", "Cu", "O", "O", "O", "O", "O", "O", "O", "O"], "frac_coords": [[0.125, 0.125, 0.125], [0.875, 0.875, 0.875], [0.000, 0.500, 0.500], [0.500, 0.000, 0.500], [0.500, 0.500, 0.000], [0.500, 0.500, 0.500], [0.266, 0.266, 0.266], [0.266, 0.266, 0.703], [0.266, 0.703, 0.266], [0.297, 0.734, 0.734], [0.703, 0.266, 0.266], [0.734, 0.297, 0.734], [0.734, 0.734, 0.297], [0.734, 0.734, 0.734]], "relative_energy_kcal_per_mol_atoms": 6.92, "sg": "Fd-3m"}

# 8
{"formula": "Y4Cu6O15", "functional": "GGA-PBE", "state": "optimized geometry", "lattice_angstrom": [[6.282, 0.000, 0.000], [0.000, 11.561, 0.000], [0.000, 0.000, 21.753]], "species": ["Y", "Y", "Y", "Y", "Y", "Y", "Y", "Y", "Y", "Y", "Y", "Y", "Y", "Y", "Y", "Y", "Cu", "Cu", "Cu", "Cu", "Cu", "Cu", "Cu", "Cu", "Cu", "Cu", "Cu", "Cu", "Cu", "Cu", "Cu", "Cu", "Cu", "Cu", "Cu", "Cu", "Cu", "Cu", "Cu", "Cu", "O", "O", "O", "O", "O", "O", "O", "O", "O", "O", "O", "O", "O", "O", "O", "O", "O", "O", "O", "O", "O", "O", "O", "O", "O", "O", "O", "O", "O", "O", "O", "O", "O", "O", "O", "O", "O", "O", "O", "O", "O", "O", "O", "O", "O", "O", "O", "O", "O", "O", "O", "O", "O", "O", "O", "O", "O", "O", "O", "O"], "frac_coords": [[0.243, 0.008, 0.378], [0.245, 0.487, 0.711], [0.249, 0.016, 0.044], [0.250, 0.491, 0.377], [0.250, 0.509, 0.877], [0.251, 0.984, 0.544], [0.255, 0.513, 0.211], [0.257, 0.992, 0.878], [0.743, 0.492, 0.622], [0.745, 0.013, 0.289], [0.749, 0.484, 0.956], [0.750, 0.009, 0.623], [0.750, 0.991, 0.123], [0.751, 0.516, 0.456], [0.755, 0.987, 0.789], [0.757, 0.508, 0.122], [0.061, 0.747, 0.806], [0.062, 0.755, 0.139], [0.069, 0.748, 0.468], [0.099, 0.741, 0.612], [0.102, 0.750, 0.952], [0.125, 0.757, 0.285], [0.375, 0.243, 0.785], [0.398, 0.250, 0.452], [0.401, 0.259, 0.112], [0.431, 0.252, 0.968], [0.438, 0.245, 0.639], [0.439, 0.253, 0.306], [0.561, 0.753, 0.194], [0.562, 0.745, 0.861], [0.569, 0.752, 0.532], [0.599, 0.759, 0.388], [0.602, 0.750, 0.048], [0.625, 0.743, 0.715], [0.875, 0.257, 0.215], [0.898, 0.250, 0.548], [0.901, 0.241, 0.888], [0.931, 0.248, 0.032], [0.938, 0.255, 0.361], [0.939, 0.247, 0.694], [0.039, 0.601, 0.949], [0.040, 0.894, 0.311], [0.042, 0.605, 0.646], [0.042, 0.892, 0.616], [0.073, 0.599, 0.133], [0.076, 0.903, 0.801], [0.079, 0.905, 0.117], [0.083, 0.595, 0.451], [0.124, 0.900, 0.456], [0.125, 0.604, 0.299], [0.127, 0.901, 0.966], [0.129, 0.598, 0.790], [0.239, 0.239, 0.041], [0.239, 0.259, 0.709], [0.242, 0.255, 0.377], [0.258, 0.745, 0.877], [0.261, 0.741, 0.209], [0.261, 0.761, 0.541], [0.371, 0.402, 0.290], [0.373, 0.099, 0.466], [0.375, 0.396, 0.799], [0.376, 0.100, 0.956], [0.417, 0.405, 0.951], [0.421, 0.095, 0.617], [0.424, 0.097, 0.301], [0.427, 0.401, 0.633], [0.458, 0.108, 0.116], [0.458, 0.395, 0.146], [0.460, 0.106, 0.811], [0.461, 0.399, 0.449], [0.539, 0.899, 0.051], [0.540, 0.606, 0.689], [0.542, 0.608, 0.384], [0.542, 0.895, 0.354], [0.573, 0.901, 0.867], [0.576, 0.597, 0.199], [0.579, 0.595, 0.883], [0.583, 0.905, 0.549], [0.624, 0.600, 0.544], [0.625, 0.896, 0.701], [0.627, 0.599, 0.034], [0.629, 0.902, 0.210], [0.739, 0.241, 0.291], [0.739, 0.261, 0.959], [0.742, 0.245, 0.623], [0.758, 0.755, 0.123], [0.761, 0.739, 0.459], [0.761, 0.759, 0.791], [0.871, 0.098, 0.710], [0.873, 0.401, 0.534], [0.875, 0.104, 0.201], [0.876, 0.400, 0.044], [0.917, 0.095, 0.049], [0.921, 0.405, 0.383], [0.924, 0.403, 0.699], [0.927, 0.099, 0.367], [0.958, 0.105, 0.854], [0.958, 0.392, 0.884], [0.960, 0.394, 0.189], [0.961, 0.101, 0.551]], "relative_energy_kcal_per_mol_atoms": 3.79, "sg": "P2_12_12_1"}

# 9
{"formula": "YCuO", "functional": "GGA-PBE", "state": "optimized geometry", "lattice_angstrom": [[1.807, 1.043, 5.016], [-1.807, 1.043, 5.016], [0.000, -2.086, 5.016]], "species": ["Y", "Cu", "O"], "frac_coords": [[0.000, 0.000, 0.000], [0.520, 0.520, 0.520], [0.385, 0.385, 0.385]], "sg": "R3m"}

# 10
{"formula": "YCu2O4", "functional": "GGA-PBE", "state": "optimized geometry", "lattice_angstrom": [[-2.858, 2.858, 4.817], [2.858, -2.858, 4.817], [2.858, 2.858, -4.817]], "species": ["Y", "Y", "Cu", "Cu", "Cu", "Cu", "O", "O", "O", "O", "O", "O", "O", "O"], "frac_coords": [[0.375, 0.125, 0.250], [0.625, 0.875, 0.750], [0.000, 0.000, 0.500], [0.000, 0.500, 0.000], [0.000, 0.500, 0.500], [0.500, 0.500, 0.000], [0.030, 0.136, 0.312], [0.218, 0.530, 0.394], [0.324, 0.718, 0.188], [0.364, 0.176, 0.894], [0.636, 0.824, 0.106], [0.676, 0.282, 0.812], [0.782, 0.470, 0.606], [0.970, 0.864, 0.688]], "relative_energy_kcal_per_mol_atoms": 0.00, "sg": "I4_1/a"}

# 11
{"formula": "YCuO3", "functional": "GGA-PBE", "state": "optimized geometry", "lattice_angstrom": [[6.269, 0.000, 0.000], [-3.135, 5.430, 0.000], [0.000, 0.000, 11.133]], "species": ["Y", "Y", "Y", "Y", "Y", "Y", "Cu", "Cu", "Cu", "Cu", "Cu", "Cu", "O", "O", "O", "O", "O", "O", "O", "O", "O", "O", "O", "O", "O", "O", "O", "O", "O", "O"], "frac_coords": [[0.000, 0.000, 0.000], [0.000, 0.000, 0.500], [0.333, 0.667, 0.461], [0.333, 0.667, 0.961], [0.667, 0.333, 0.461], [0.667, 0.333, 0.961], [0.000, 0.333, 0.227], [0.000, 0.667, 0.727], [0.333, 0.000, 0.227], [0.333, 0.333, 0.727], [0.667, 0.000, 0.727], [0.667, 0.667, 0.227], [0.000, 0.000, 0.210], [0.000, 0.000, 0.710], [0.000, 0.312, 0.392], [0.000, 0.354, 0.063], [0.000, 0.646, 0.563], [0.000, 0.688, 0.892], [0.312, 0.000, 0.392], [0.312, 0.312, 0.892], [0.333, 0.667, 0.242], [0.333, 0.667, 0.742], [0.354, 0.000, 0.063], [0.354, 0.354, 0.563], [0.646, 0.000, 0.563], [0.646, 0.646, 0.063], [0.667, 0.333, 0.242], [0.667, 0.333, 0.742], [0.688, 0.000, 0.892], [0.688, 0.688, 0.392]], "sg": "P6_3cm"}

# 12
{"formula": "Y2Cu3O6", "functional": "GGA-PBE", "state": "optimized geometry", "lattice_angstrom": [[3.560, 0.000, 0.000], [0.000, 12.094, 0.000], [-1.751, 0.000, 8.607]], "species": ["Y", "Y", "Y", "Y", "Cu", "Cu", "Cu", "Cu", "Cu", "Cu", "O", "O", "O", "O", "O", "O", "O", "O", "O", "O", "O", "O"], "frac_coords": [[0.015, 0.000, 0.027], [0.332, 0.018, 0.654], [0.668, 0.518, 0.346], [0.985, 0.500, 0.973], [0.107, 0.275, 0.218], [0.213, 0.761, 0.432], [0.457, 0.246, 0.912], [0.543, 0.746, 0.088], [0.787, 0.261, 0.568], [0.893, 0.775, 0.782], [0.104, 0.132, 0.207], [0.109, 0.422, 0.226], [0.201, 0.619, 0.412], [0.240, 0.903, 0.455], [0.453, 0.096, 0.902], [0.456, 0.394, 0.916], [0.544, 0.894, 0.084], [0.547, 0.596, 0.098], [0.760, 0.403, 0.545], [0.799, 0.119, 0.588], [0.891, 0.922, 0.774], [0.896, 0.632, 0.793]], "relative_energy_kcal_per_mol_atoms": 0.00, "sg": "P2_1"}

Number 1: ΔE_f -2.6745 eV per atom, final energy -8.080 eV/atom. Number 2: ΔE_f -2.0666 eV per atom, final energy -6.642 eV/atom. Number 3: ΔE_f -2.4166 eV per atom, final energy -7.086 eV/atom. Number 4: ΔE_f -2.2175 eV per atom, final energy -6.887 eV/atom. Number 5: ΔE_f -3.0990 eV per atom, final energy -8.014 eV/atom. Number 6: ΔE_f -1.9910 eV per atom, final energy -6.609 eV/atom. Number 7: ΔE_f -1.7671 eV per atom, final energy -6.297 eV/atom. Number 8: ΔE_f -1.9024 eV per atom, final energy -6.477 eV/atom. Number 9: ΔE_f -1.8303 eV per atom, final energy -6.772 eV/atom. Number 10: ΔE_f -2.0673 eV per atom, final energy -6.597 eV/atom. Number 11: ΔE_f -2.4281 eV per atom, final energy -7.098 eV/atom. Number 12: ΔE_f -2.0074 eV per atom, final energy -6.625 eV/atom.